Record 1
# PBE NaPr9Si6S2O24, optimized geometry
# SG = No. 7
# total magnetic moment = 0.0 μB/cell
data_NaPr9Si6S2O24
_symmetry_space_group_name_H-M 'P 1'
_symmetry_Int_Tables_number 1
_symmetry_space_group_name_Hall 'P 1'
_cell_length_a 9.962
_cell_length_b 6.961
_cell_length_c 19.927
_cell_angle_alpha 90.00
_cell_angle_beta 119.99
_cell_angle_gamma 90.00
loop_
_atom_site_label
_atom_site_type_symbol
_atom_site_fract_x
_atom_site_fract_y
_atom_site_fract_z
_atom_site_occupancy
Na1 Na 0.000 0.244 0.000 1
Na2 Na 0.000 0.756 0.500 1
Pr1 Pr 0.331 0.254 0.833 1
Pr2 Pr 0.331 0.746 0.333 1
Pr3 Pr 0.334 0.249 0.333 1
Pr4 Pr 0.334 0.751 0.833 1
Pr5 Pr 0.414 0.496 0.047 1
Pr6 Pr 0.414 0.504 0.547 1
Pr7 Pr 0.419 0.003 0.167 1
Pr8 Pr 0.419 0.997 0.667 1
Pr9 Pr 0.665 0.003 0.042 1
Pr10 Pr 0.665 0.997 0.542 1
Pr11 Pr 0.678 0.500 0.292 1
Pr12 Pr 0.678 0.500 0.792 1
Pr13 Pr 0.905 0.498 0.160 1
Pr14 Pr 0.905 0.502 0.660 1
Pr15 Pr 0.915 0.007 0.791 1
Pr16 Pr 0.915 0.993 0.291 1
Pr17 Pr 0.999 0.245 0.500 1
Pr18 Pr 0.999 0.755 0.000 1
Si1 Si 0.050 0.495 0.374 1
Si2 Si 0.050 0.505 0.874 1
Si3 Si 0.072 0.002 0.682 1
Si4 Si 0.072 0.998 0.182 1
Si5 Si 0.251 0.497 0.650 1
Si6 Si 0.251 0.503 0.150 1
Si7 Si 0.291 0.004 0.464 1
Si8 Si 0.291 0.996 0.964 1
Si9 Si 0.636 0.001 0.354 1
Si10 Si 0.636 0.999 0.854 1
Si11 Si 0.698 0.498 0.475 1
Si12 Si 0.698 0.502 0.975 1
S1 S 0.660 0.251 0.662 1
S2 S 0.660 0.749 0.162 1
S3 S 0.673 0.242 0.171 1
S4 S 0.673 0.758 0.671 1
O1 O 0.029 0.191 0.718 1
O2 O 0.029 0.809 0.218 1
O3 O 0.030 0.189 0.217 1
O4 O 0.030 0.811 0.717 1
O5 O 0.061 0.500 0.102 1
O6 O 0.061 0.500 0.602 1
O7 O 0.142 0.498 0.969 1
O8 O 0.142 0.502 0.469 1
O9 O 0.172 0.495 0.342 1
O10 O 0.172 0.505 0.842 1
O11 O 0.187 0.008 0.504 1
O12 O 0.187 0.992 0.004 1
O13 O 0.194 0.004 0.867 1
O14 O 0.194 0.996 0.367 1
O15 O 0.266 0.002 0.730 1
O16 O 0.266 0.998 0.230 1
O17 O 0.299 0.305 0.618 1
O18 O 0.299 0.695 0.118 1
O19 O 0.317 0.495 0.744 1
O20 O 0.317 0.505 0.244 1
O21 O 0.328 0.325 0.128 1
O22 O 0.328 0.675 0.628 1
O23 O 0.405 0.194 0.483 1
O24 O 0.405 0.806 0.983 1
O25 O 0.407 0.186 0.988 1
O26 O 0.407 0.814 0.488 1
O27 O 0.511 0.498 0.413 1
O28 O 0.511 0.502 0.913 1
O29 O 0.540 0.008 0.903 1
O30 O 0.540 0.992 0.403 1
O31 O 0.561 0.193 0.299 1
O32 O 0.561 0.807 0.799 1
O33 O 0.568 0.186 0.795 1
O34 O 0.568 0.814 0.295 1
O35 O 0.743 0.326 0.037 1
O36 O 0.743 0.674 0.537 1
O37 O 0.762 0.304 0.530 1
O38 O 0.762 0.696 0.030 1
O39 O 0.796 0.498 0.928 1
O40 O 0.796 0.502 0.428 1
O41 O 0.822 0.005 0.406 1
O42 O 0.822 0.995 0.906 1
O43 O 0.925 0.329 0.835 1
O44 O 0.925 0.671 0.335 1
O45 O 0.940 0.301 0.351 1
O46 O 0.940 0.699 0.851 1
O47 O 0.990 0.006 0.589 1
O48 O 0.990 0.994 0.089 1

Record 2
# PBE Mg2Si, optimized geometry
# SG = No. 12
# total magnetic moment = 0.0 μB/cell
data_Mg2Si
_symmetry_space_group_name_H-M 'P 1'
_symmetry_Int_Tables_number 1
_symmetry_space_group_name_Hall 'P 1'
_cell_length_a 5.903
_cell_length_b 5.903
_cell_length_c 7.266
_cell_angle_alpha 91.12
_cell_angle_beta 91.12
_cell_angle_gamma 62.66
loop_
_atom_site_label
_atom_site_type_symbol
_atom_site_fract_x
_atom_site_fract_y
_atom_site_fract_z
_atom_site_occupancy
Mg1 Mg 0.000 0.500 0.000 1
Mg2 Mg 0.167 0.675 0.677 1
Mg3 Mg 0.325 0.833 0.323 1
Mg4 Mg 0.335 0.335 0.340 1
Mg5 Mg 0.500 0.000 0.000 1
Mg6 Mg 0.665 0.665 0.660 1
Mg7 Mg 0.675 0.167 0.677 1
Mg8 Mg 0.833 0.325 0.323 1
Si1 Si 0.000 0.000 0.000 1
Si2 Si 0.168 0.168 0.668 1
Si3 Si 0.500 0.500 0.000 1
Si4 Si 0.832 0.832 0.332 1

Record 3
# PBE Ti2CN, optimized geometry
# SG = No. 166
data_Ti2CN
_symmetry_space_group_name_H-M 'P 1'
_symmetry_Int_Tables_number 1
_symmetry_space_group_name_Hall 'P 1'
_cell_length_a 5.264
_cell_length_b 5.264
_cell_length_c 5.264
_cell_angle_alpha 33.52
_cell_angle_beta 33.52
_cell_angle_gamma 33.52
loop_
_atom_site_label
_atom_site_type_symbol
_atom_site_fract_x
_atom_site_fract_y
_atom_site_fract_z
_atom_site_occupancy
Ti1 Ti 0.249 0.249 0.249 1
Ti2 Ti 0.751 0.751 0.751 1
C1 C 0.500 0.500 0.500 1
N1 N 0.000 0.000 0.000 1

Record 4
# PBE Th2In3Sn3, optimized geometry
# SG = No. 47
data_Th2In3Sn3
_symmetry_space_group_name_H-M 'P 1'
_symmetry_Int_Tables_number 1
_symmetry_space_group_name_Hall 'P 1'
_cell_length_a 4.744
_cell_length_b 4.839
_cell_length_c 9.342
_cell_angle_alpha 90.00
_cell_angle_beta 90.00
_cell_angle_gamma 90.00
loop_
_atom_site_label
_atom_site_type_symbol
_atom_site_fract_x
_atom_site_fract_y
_atom_site_fract_z
_atom_site_occupancy
Th1 Th 0.000 0.000 0.245 1
Th2 Th 0.000 0.000 0.755 1
In1 In 0.000 0.500 0.500 1
In2 In 0.500 0.500 0.251 1
In3 In 0.500 0.500 0.749 1
Sn1 Sn 0.000 0.500 0.000 1
Sn2 Sn 0.500 0.000 0.000 1
Sn3 Sn 0.500 0.000 0.500 1

Record 5
# PBE La3Mg2VS8, optimized geometry
# SG = No. 2
# total magnetic moment = 2.0 μB/cell
data_La3Mg2VS8
_symmetry_space_group_name_H-M 'P 1'
_symmetry_Int_Tables_number 1
_symmetry_space_group_name_Hall 'P 1'
_cell_length_a 7.921
_cell_length_b 7.940
_cell_length_c 7.943
_cell_angle_alpha 61.16
_cell_angle_beta 61.09
_cell_angle_gamma 61.17
loop_
_atom_site_label
_atom_site_type_symbol
_atom_site_fract_x
_atom_site_fract_y
_atom_site_fract_z
_atom_site_occupancy
La1 La 0.000 0.000 0.000 1
La2 La 0.000 0.500 0.500 1
La3 La 0.500 0.000 0.500 1
Mg1 Mg 0.374 0.375 0.874 1
Mg2 Mg 0.626 0.625 0.126 1
V1 V 0.000 0.000 0.500 1
S1 S 0.227 0.227 0.266 1
S2 S 0.229 0.764 0.729 1
S3 S 0.234 0.773 0.273 1
S4 S 0.248 0.249 0.748 1
S5 S 0.752 0.751 0.252 1
S6 S 0.766 0.227 0.727 1
S7 S 0.771 0.236 0.271 1
S8 S 0.773 0.773 0.734 1

Record 6
# PBE MgSb2O4, optimized geometry
# SG = No. 135
# polymorph energy (0 for the lowest one) = 0.0000 eV per atom
data_MgSb2O4
_symmetry_space_group_name_H-M 'P 1'
_symmetry_Int_Tables_number 1
_symmetry_space_group_name_Hall 'P 1'
_cell_length_a 8.592
_cell_length_b 8.592
_cell_length_c 6.075
_cell_angle_alpha 90.00
_cell_angle_beta 90.00
_cell_angle_gamma 90.00
loop_
_atom_site_label
_atom_site_type_symbol
_atom_site_fract_x
_atom_site_fract_y
_atom_site_fract_z
_atom_site_occupancy
Mg1 Mg 0.000 0.500 0.250 1
Mg2 Mg 0.000 0.500 0.750 1
Mg3 Mg 0.500 0.000 0.250 1
Mg4 Mg 0.500 0.000 0.750 1
Sb1 Sb 0.166 0.175 0.000 1
Sb2 Sb 0.175 0.834 0.500 1
Sb3 Sb 0.325 0.334 0.500 1
Sb4 Sb 0.334 0.675 0.000 1
Sb5 Sb 0.666 0.325 0.000 1
Sb6 Sb 0.675 0.666 0.500 1
Sb7 Sb 0.825 0.166 0.500 1
Sb8 Sb 0.834 0.825 0.000 1
O1 O 0.099 0.365 0.500 1
O2 O 0.135 0.401 0.000 1
O3 O 0.177 0.677 0.250 1
O4 O 0.177 0.677 0.750 1
O5 O 0.323 0.177 0.250 1
O6 O 0.323 0.177 0.750 1
O7 O 0.365 0.901 0.000 1
O8 O 0.401 0.865 0.500 1
O9 O 0.599 0.135 0.500 1
O10 O 0.635 0.099 0.000 1
O11 O 0.677 0.823 0.250 1
O12 O 0.677 0.823 0.750 1
O13 O 0.823 0.323 0.250 1
O14 O 0.823 0.323 0.750 1
O15 O 0.865 0.599 0.000 1
O16 O 0.901 0.635 0.500 1

Record 7
# PBE Pm2CoRu, optimized geometry
# SG = No. 225
data_Pm2CoRu
_symmetry_space_group_name_H-M 'P 1'
_symmetry_Int_Tables_number 1
_symmetry_space_group_name_Hall 'P 1'
_cell_length_a 4.916
_cell_length_b 4.916
_cell_length_c 4.916
_cell_angle_alpha 60.00
_cell_angle_beta 60.00
_cell_angle_gamma 60.00
loop_
_atom_site_label
_atom_site_type_symbol
_atom_site_fract_x
_atom_site_fract_y
_atom_site_fract_z
_atom_site_occupancy
Pm1 Pm 0.250 0.250 0.250 1
Pm2 Pm 0.750 0.750 0.750 1
Co1 Co 0.000 0.000 0.000 1
Ru1 Ru 0.500 0.500 0.500 1

Record 8
# PBE FeNi3N3, optimized geometry
# SG = No. 63
# total magnetic moment = 2.1 μB/cell
data_FeNi3N3
_symmetry_space_group_name_H-M 'P 1'
_symmetry_Int_Tables_number 1
_symmetry_space_group_name_Hall 'P 1'
_cell_length_a 6.808
_cell_length_b 6.808
_cell_length_c 3.730
_cell_angle_alpha 90.00
_cell_angle_beta 90.00
_cell_angle_gamma 120.29
loop_
_atom_site_label
_atom_site_type_symbol
_atom_site_fract_x
_atom_site_fract_y
_atom_site_fract_z
_atom_site_occupancy
Fe1 Fe 0.165 0.835 0.750 1
Fe2 Fe 0.835 0.165 0.250 1
Ni1 Ni 0.208 0.356 0.750 1
Ni2 Ni 0.350 0.650 0.250 1
Ni3 Ni 0.356 0.208 0.250 1
Ni4 Ni 0.644 0.792 0.750 1
Ni5 Ni 0.650 0.350 0.750 1
Ni6 Ni 0.792 0.644 0.250 1
N1 N 0.132 0.315 0.250 1
N2 N 0.314 0.686 0.750 1
N3 N 0.315 0.132 0.750 1
N4 N 0.685 0.868 0.250 1
N5 N 0.686 0.314 0.250 1
N6 N 0.868 0.685 0.750 1

Record 9
# PBE LiSbF4, optimized geometry
# SG = No. 198
data_LiSbF4
_symmetry_space_group_name_H-M 'P 1'
_symmetry_Int_Tables_number 1
_symmetry_space_group_name_Hall 'P 1'
_cell_length_a 7.020
_cell_length_b 7.020
_cell_length_c 7.020
_cell_angle_alpha 90.00
_cell_angle_beta 90.00
_cell_angle_gamma 90.00
loop_
_atom_site_label
_atom_site_type_symbol
_atom_site_fract_x
_atom_site_fract_y
_atom_site_fract_z
_atom_site_occupancy
Li1 Li 0.169 0.169 0.169 1
Li2 Li 0.331 0.831 0.669 1
Li3 Li 0.669 0.331 0.831 1
Li4 Li 0.831 0.669 0.331 1
Sb1 Sb 0.155 0.345 0.655 1
Sb2 Sb 0.345 0.655 0.155 1
Sb3 Sb 0.655 0.155 0.345 1
Sb4 Sb 0.845 0.845 0.845 1
F1 F 0.068 0.628 0.213 1
F2 F 0.128 0.287 0.932 1
F3 F 0.176 0.676 0.824 1
F4 F 0.213 0.068 0.628 1
F5 F 0.287 0.932 0.128 1
F6 F 0.324 0.324 0.324 1
F7 F 0.372 0.713 0.432 1
F8 F 0.432 0.372 0.713 1
F9 F 0.568 0.872 0.787 1
F10 F 0.628 0.213 0.068 1
F11 F 0.676 0.824 0.176 1
F12 F 0.713 0.432 0.372 1
F13 F 0.787 0.568 0.872 1
F14 F 0.824 0.176 0.676 1
F15 F 0.872 0.787 0.568 1
F16 F 0.932 0.128 0.287 1

Record 10
# PBE WSBr4, optimized geometry
# SG = No. 14
data_WSBr4
_symmetry_space_group_name_H-M 'P 1'
_symmetry_Int_Tables_number 1
_symmetry_space_group_name_Hall 'P 1'
_cell_length_a 10.460
_cell_length_b 6.482
_cell_length_c 13.655
_cell_angle_alpha 90.00
_cell_angle_beta 110.64
_cell_angle_gamma 90.00
loop_
_atom_site_label
_atom_site_type_symbol
_atom_site_fract_x
_atom_site_fract_y
_atom_site_fract_z
_atom_site_occupancy
W1 W 0.238 0.067 0.042 1
W2 W 0.238 0.433 0.542 1
W3 W 0.762 0.567 0.458 1
W4 W 0.762 0.933 0.958 1
S1 S 0.386 0.236 0.522 1
S2 S 0.386 0.264 0.022 1
S3 S 0.614 0.736 0.978 1
S4 S 0.614 0.764 0.478 1
Br1 Br 0.024 0.239 0.929 1
Br2 Br 0.024 0.261 0.429 1
Br3 Br 0.197 0.221 0.193 1
Br4 Br 0.197 0.279 0.693 1
Br5 Br 0.201 0.690 0.402 1
Br6 Br 0.201 0.810 0.902 1
Br7 Br 0.376 0.698 0.664 1
Br8 Br 0.376 0.802 0.164 1
Br9 Br 0.624 0.198 0.836 1
Br10 Br 0.624 0.302 0.336 1
Br11 Br 0.799 0.190 0.098 1
Br12 Br 0.799 0.310 0.598 1
Br13 Br 0.803 0.721 0.307 1
Br14 Br 0.803 0.779 0.807 1
Br15 Br 0.976 0.739 0.571 1
Br16 Br 0.976 0.761 0.071 1

Record 11
# PBE Na3Ta8Zn4P15S3O72, optimized geometry
# SG = No. 1
# total magnetic moment = 0.0 μB/cell
data_Na3Ta8Zn4P15S3O72
_symmetry_space_group_name_H-M 'P 1'
_symmetry_Int_Tables_number 1
_symmetry_space_group_name_Hall 'P 1'
_cell_length_a 8.742
_cell_length_b 8.748
_cell_length_c 22.629
_cell_angle_alpha 89.79
_cell_angle_beta 89.82
_cell_angle_gamma 60.20
loop_
_atom_site_label
_atom_site_type_symbol
_atom_site_fract_x
_atom_site_fract_y
_atom_site_fract_z
_atom_site_occupancy
Na1 Na 0.000 0.000 0.000 1
Na2 Na 0.002 0.001 0.498 1
Na3 Na 0.662 0.662 0.147 1
Ta1 Ta 0.002 0.995 0.344 1
Ta2 Ta 0.326 0.330 0.680 1
Ta3 Ta 0.340 0.321 0.967 1
Ta4 Ta 0.341 0.322 0.180 1
Ta5 Ta 0.665 0.661 0.303 1
Ta6 Ta 0.668 0.659 0.803 1
Ta7 Ta 0.672 0.657 0.514 1
Ta8 Ta 0.999 0.997 0.843 1
Zn1 Zn 0.001 0.003 0.642 1
Zn2 Zn 0.327 0.325 0.463 1
Zn3 Zn 0.657 0.663 0.010 1
Zn4 Zn 0.999 0.005 0.137 1
P1 P 0.051 0.319 0.571 1
P2 P 0.285 0.711 0.238 1
P3 P 0.291 0.990 0.738 1
P4 P 0.335 0.036 0.074 1
P5 P 0.377 0.665 0.909 1
P6 P 0.381 0.947 0.408 1
P7 P 0.626 0.327 0.073 1
P8 P 0.666 0.372 0.408 1
P9 P 0.672 0.942 0.909 1
P10 P 0.712 0.284 0.738 1
P11 P 0.719 0.991 0.238 1
P12 P 0.951 0.375 0.910 1
P13 P 0.954 0.663 0.407 1
P14 P 0.997 0.713 0.738 1
P15 P 0.998 0.284 0.238 1
S1 S 0.048 0.614 0.073 1
S2 S 0.330 0.617 0.572 1
S3 S 0.623 0.042 0.572 1
O1 O 0.016 0.167 0.579 1
O2 O 0.029 0.166 0.295 1
O3 O 0.031 0.797 0.793 1
O4 O 0.040 0.784 0.076 1
O5 O 0.131 0.506 0.413 1
O6 O 0.138 0.354 0.916 1
O7 O 0.139 0.350 0.628 1
O8 O 0.142 0.506 0.128 1
O9 O 0.156 0.520 0.019 1
O10 O 0.161 0.298 0.518 1
O11 O 0.163 0.304 0.232 1
O12 O 0.165 0.029 0.075 1
O13 O 0.165 0.524 0.730 1
O14 O 0.170 0.027 0.793 1
O15 O 0.170 0.798 0.295 1
O16 O 0.182 0.794 0.580 1
O17 O 0.189 0.823 0.894 1
O18 O 0.197 0.957 0.399 1
O19 O 0.216 0.823 0.184 1
O20 O 0.223 0.949 0.684 1
O21 O 0.305 0.525 0.231 1
O22 O 0.310 0.534 0.520 1
O23 O 0.311 0.158 0.730 1
O24 O 0.319 0.154 0.018 1
O25 O 0.345 0.142 0.129 1
O26 O 0.355 0.500 0.916 1
O27 O 0.361 0.505 0.627 1
O28 O 0.365 0.123 0.412 1
O29 O 0.442 0.711 0.963 1
O30 O 0.468 0.824 0.463 1
O31 O 0.475 0.678 0.251 1
O32 O 0.476 0.837 0.754 1
O33 O 0.492 0.849 0.353 1
O34 O 0.495 0.634 0.853 1
O35 O 0.499 0.629 0.567 1
O36 O 0.506 0.131 0.915 1
O37 O 0.507 0.864 0.073 1
O38 O 0.508 0.343 0.129 1
O39 O 0.508 0.355 0.416 1
O40 O 0.511 0.125 0.626 1
O41 O 0.519 0.317 0.018 1
O42 O 0.525 0.304 0.729 1
O43 O 0.532 0.157 0.232 1
O44 O 0.544 0.148 0.520 1
O45 O 0.629 0.864 0.566 1
O46 O 0.633 0.496 0.072 1
O47 O 0.642 0.858 0.853 1
O48 O 0.651 0.486 0.353 1
O49 O 0.683 0.469 0.754 1
O50 O 0.684 0.835 0.252 1
O51 O 0.703 0.462 0.463 1
O52 O 0.713 0.833 0.964 1
O53 O 0.797 0.164 0.793 1
O54 O 0.798 0.155 0.075 1
O55 O 0.803 0.008 0.580 1
O56 O 0.804 0.021 0.295 1
O57 O 0.822 0.216 0.684 1
O58 O 0.829 0.950 0.184 1
O59 O 0.829 0.976 0.895 1
O60 O 0.831 0.698 0.463 1
O61 O 0.840 0.443 0.964 1
O62 O 0.841 0.191 0.399 1
O63 O 0.841 0.472 0.252 1
O64 O 0.843 0.679 0.753 1
O65 O 0.855 0.648 0.353 1
O66 O 0.865 0.497 0.564 1
O67 O 0.866 0.489 0.853 1
O68 O 0.878 0.622 0.071 1
O69 O 0.952 0.217 0.185 1
O70 O 0.960 0.820 0.683 1
O71 O 0.961 0.838 0.399 1
O72 O 0.982 0.186 0.895 1

Record 12
# PBE Na3AlCl6, optimized geometry
# SG = No. 225
# total magnetic moment = 0.0 μB/cell
data_Na3AlCl6
_symmetry_space_group_name_H-M 'P 1'
_symmetry_Int_Tables_number 1
_symmetry_space_group_name_Hall 'P 1'
_cell_length_a 7.090
_cell_length_b 7.090
_cell_length_c 7.090
_cell_angle_alpha 60.00
_cell_angle_beta 60.00
_cell_angle_gamma 60.00
loop_
_atom_site_label
_atom_site_type_symbol
_atom_site_fract_x
_atom_site_fract_y
_atom_site_fract_z
_atom_site_occupancy
Na1 Na 0.000 0.000 0.000 1
Na2 Na 0.250 0.250 0.250 1
Na3 Na 0.750 0.750 0.750 1
Al1 Al 0.500 0.500 0.500 1
Cl1 Cl 0.268 0.268 0.732 1
Cl2 Cl 0.268 0.732 0.268 1
Cl3 Cl 0.268 0.732 0.732 1
Cl4 Cl 0.732 0.268 0.268 1
Cl5 Cl 0.732 0.268 0.732 1
Cl6 Cl 0.732 0.732 0.268 1

Record 13
# PBE Mo3WSe4S4, optimized geometry
# SG = No. 156
# total magnetic moment = 0.0 μB/cell
# polymorph energy (0 for the lowest one) = 0.0007 eV per atom
data_Mo3WSe4S4
_symmetry_space_group_name_H-M 'P 1'
_symmetry_Int_Tables_number 1
_symmetry_space_group_name_Hall 'P 1'
_cell_length_a 3.254
_cell_length_b 3.254
_cell_length_c 36.874
_cell_angle_alpha 90.00
_cell_angle_beta 90.00
_cell_angle_gamma 120.00
loop_
_atom_site_label
_atom_site_type_symbol
_atom_site_fract_x
_atom_site_fract_y
_atom_site_fract_z
_atom_site_occupancy
Mo1 Mo 0.000 0.000 0.000 1
Mo2 Mo 0.000 0.000 0.376 1
Mo3 Mo 0.333 0.667 0.188 1
W1 W 0.333 0.667 0.564 1
Se1 Se 0.000 0.000 0.142 1
Se2 Se 0.000 0.000 0.234 1
Se3 Se 0.333 0.667 0.330 1
Se4 Se 0.333 0.667 0.422 1
S1 S 0.000 0.000 0.522 1
S2 S 0.000 0.000 0.606 1
S3 S 0.333 0.667 0.042 1
S4 S 0.333 0.667 0.958 1

Theoretical density for the records above, in order: 5.29, 2.27, 5.10, 9.02, 3.54, 4.92, 8.89, 6.09, 3.93, 4.11, 3.86, 2.03, 4.50 g cm⁻³
Calculated total energy for the records above, in order: -7.9475, -2.8183, -9.6350, -4.7888, -5.8654, -6.0137, -6.5233, -7.0053, -4.8242, -4.4416, -7.5369, -3.4550, -7.0787 eV/atom